(1)
Entry from Materials Project: a geometry-optimized Y3Ni7B2 structure (PBE).

Output
As for the space group: P6_3/mmc, No. 194. Its calculated formation energy is -0.4863 eV per atom.

a b c (Å): 5.079 5.079 14.257
angles (deg): 90.00 90.00 120.00
Atoms (fractional coordinates):
Ni1 0.000 0.000 0.000
Ni2 0.834 0.166 0.650
Y1 0.333 0.667 0.750
Ni3 0.669 0.834 0.150
Y2 0.667 0.333 0.250
B1 0.333 0.667 0.250
Ni4 0.669 0.834 0.350
Y3 0.333 0.667 0.969
Ni5 0.166 0.331 0.150
Ni6 0.834 0.166 0.850
Ni7 0.834 0.669 0.650
B2 0.000 0.000 0.750
Y4 0.333 0.667 0.531
Ni8 0.331 0.166 0.850
Ni9 0.331 0.166 0.650
B3 0.667 0.333 0.750
Ni10 0.166 0.834 0.350
Ni11 0.000 0.000 0.500
Ni12 0.166 0.331 0.350
Ni13 0.166 0.834 0.150
Y5 0.667 0.333 0.469
Y6 0.667 0.333 0.031
B4 0.000 0.000 0.250
Ni14 0.834 0.669 0.850

***

(2)
Entry from Materials Project: a geometry-optimized Zn2Ni21B20 structure (PBE).

Output
As for the space group: I4/mmm, No. 139. Its calculated formation energy is -0.2615 eV per atom.

a b c (Å): 8.763 8.763 8.763
angles (deg): 131.53 131.53 70.97
Atoms (fractional coordinates):
B1 0.203 0.797 0.000
B2 0.797 0.203 0.000
Ni1 0.362 0.362 0.000
B3 0.812 0.400 0.000
Ni2 0.000 0.000 0.000
Zn1 0.810 0.810 0.000
Ni3 0.400 0.101 0.299
B4 0.654 0.355 0.701
B5 0.188 0.600 0.000
B6 0.812 0.812 0.411
Ni4 0.198 0.899 0.299
Ni5 0.000 0.000 0.500
B7 0.346 0.047 0.701
Ni6 0.101 0.400 0.299
Ni7 0.240 0.500 0.740
B8 0.188 0.188 0.589
B9 0.645 0.346 0.299
Ni8 0.600 0.899 0.701
Ni9 0.899 0.600 0.701
B10 0.654 0.953 0.299
Ni10 0.760 0.500 0.260
B11 0.600 0.600 0.411
Ni11 0.101 0.802 0.701
Ni12 0.500 0.240 0.740
B12 0.346 0.645 0.299
Ni13 0.500 0.760 0.260
Ni14 0.899 0.198 0.299
Ni15 0.000 0.500 0.000
B13 0.953 0.654 0.299
B14 0.203 0.203 0.406
Ni16 0.750 0.250 0.500
B15 0.400 0.812 0.000
B16 0.047 0.346 0.701
Ni17 0.802 0.101 0.701
B17 0.400 0.400 0.589
B18 0.355 0.654 0.701
B19 0.797 0.797 0.594
Ni18 0.500 0.500 0.500
Ni19 0.500 0.000 0.000
Ni20 0.250 0.750 0.500
Zn2 0.190 0.190 0.000
Ni21 0.638 0.638 0.000
B20 0.600 0.188 0.000